(1)
DFT (PBE with a Hubbard U) results for a geometry-optimized MnF3 structure.

The structure belongs to space group P321 (No. 150); the cell edges are 8.5766, 8.5766 and 4.6951 Å and the angles 90.00°, 90.00° and 120.00°. Symmetry generates all atoms from Mn at (0.0000, 0.3301, 0.0000), Mn at (0.0000, 0.6631, 0.5000), F at (0.0959, 0.5543, 0.2593), F at (0.1142, 0.8739, 0.2631) and F at (0.2022, 0.4285, 0.7713).

=====

(2)
DFT (PBE with a Hubbard U) results for a geometry-optimized MnF3 structure.

The structure belongs to space group P4/mbm (No. 127); the cell edges are 5.3947, 5.3947 and 3.8764 Å and the angles 90.00°, 90.00° and 90.00°. Symmetry generates all atoms from Mn at (0.0000, 0.0000, 0.0000), F at (0.0000, 0.0000, 0.5000) and F at (0.2029, 0.2971, 0.0000).

=====

(3)
DFT (PBE with a Hubbard U) results for a geometry-optimized MnF4 structure.

The structure belongs to space group Pbam (No. 55); the cell edges are 4.8076, 9.3087 and 2.9614 Å and the angles 90.00°, 90.00° and 90.00°. Symmetry generates all atoms from Mn at (0.0000, 0.0000, 0.0000), F at (0.2086, 0.0743, 0.5000) and F at (0.2140, 0.8455, 0.0000).

=====

Short version: formation energy from the elements = -10.93; -10.95; -11.59 eV per formula unit, in the order given.